{"formula": "KMg14Cr", "functional": "PBE-GGA", "state": "optimized geometry", "lattice": [[6.488, -0.020, 0.000], [-3.261, 5.649, 0.000], [0.000, 0.000, 10.511]], "species": ["Mg", "Mg", "Mg", "Mg", "Mg", "Mg", "Mg", "Mg", "Mg", "Mg", "Mg", "Mg", "Mg", "Mg", "Cr", "K"], "frac_coords": [[0.667, 0.334, 0.625], [0.168, 0.334, 0.625], [0.335, 0.158, 0.382], [0.825, 0.163, 0.862], [0.335, 0.158, 0.868], [0.665, 0.330, 0.125], [0.665, 0.835, 0.125], [0.667, 0.832, 0.625], [0.838, 0.669, 0.368], [0.167, 0.833, 0.625], [0.838, 0.669, 0.882], [0.335, 0.677, 0.382], [0.335, 0.677, 0.868], [0.825, 0.163, 0.388], [0.170, 0.835, 0.125], [0.166, 0.333, 0.125]], "total_energy_ev_per_atom": -1.89, "rho_g_cm3": 1.863, "sg": "No. 38", "magmom_total_mub_per_cell": 4.097}